Density functional theory data (PBE) for an optimized crystal structure of Sr3Li.

```
data_Sr3Li
_cell_length_a 5.6088
_cell_length_b 5.6088
_cell_length_c 12.1520
_cell_angle_alpha 90.00
_cell_angle_beta 90.00
_cell_angle_gamma 90.00
_symmetry_space_group_name_H-M 'I 4/m m m'
_symmetry_Int_Tables_number 139
_symmetry_space_group_name_Hall '-I 4 2'
loop_
_atom_site_label
_atom_site_fract_x
_atom_site_fract_y
_atom_site_fract_z
_atom_site_occupancy
Sr1 0.0000 0.0000 0.0000 1
Sr2 0.0000 0.5000 0.2500 1
Li1 0.0000 0.0000 0.5000 1
```

## Properties
ΔH_f (0 K) (eV/atom): 0.09
Crystal system: tetragonal
VASP energy (eV/atom): -1.650
Excess energy over the best structure of this formula in the dataset (eV/atom): 0.023

***

Density functional theory data (PBE) for an optimized crystal structure of EuAl2Zn2.

```
data_EuAl2Zn2
_cell_length_a 4.2400
_cell_length_b 4.2400
_cell_length_c 11.0128
_cell_angle_alpha 90.00
_cell_angle_beta 90.00
_cell_angle_gamma 90.00
_symmetry_space_group_name_H-M 'I 4/m m m'
_symmetry_Int_Tables_number 139
_symmetry_space_group_name_Hall '-I 4 2'
loop_
_atom_site_label
_atom_site_fract_x
_atom_site_fract_y
_atom_site_fract_z
_atom_site_occupancy
Eu1 0.0000 0.0000 0.0000 1
Al1 0.0000 0.5000 0.2500 1
Zn1 0.0000 0.0000 0.3878 1
```

## Properties
ΔH_f (0 K) (eV/atom): -0.34
Crystal system: tetragonal
VASP energy (eV/atom): -4.396

***

Density functional theory data (PBE) for an optimized crystal structure of K3BiCl6.

```
data_K3BiCl6
_cell_length_a 11.3793
_cell_length_b 11.3793
_cell_length_c 11.3793
_cell_angle_alpha 90.00
_cell_angle_beta 90.00
_cell_angle_gamma 90.00
_symmetry_space_group_name_H-M 'F m -3 m'
_symmetry_Int_Tables_number 225
_symmetry_space_group_name_Hall '-F 4 2 3'
loop_
_atom_site_label
_atom_site_fract_x
_atom_site_fract_y
_atom_site_fract_z
_atom_site_occupancy
K1 0.0000 0.0000 0.0000 1
K2 0.2500 0.2500 0.2500 1
Bi1 0.0000 0.0000 0.5000 1
Cl1 0.0000 0.0000 0.2619 1
```

## Properties
ΔH_f (0 K) (eV/atom): -1.89
Crystal system: cubic
VASP energy (eV/atom): -3.357

***

Density functional theory data (PBE) for an optimized crystal structure of Na2Ga3Sb3.

```
data_Na2Ga3Sb3
_cell_length_a 27.2666
_cell_length_b 4.3538
_cell_length_c 7.3578
_cell_angle_alpha 90.00
_cell_angle_beta 90.00
_cell_angle_gamma 90.00
_symmetry_space_group_name_H-M 'P n m a'
_symmetry_Int_Tables_number 62
loop_
_symmetry_equiv_pos_as_xyz
'x,y,z'
'-x,-y,-z'
'-x+1/2,-y,z+1/2'
'x+1/2,y,-z+1/2'
'x+1/2,-y+1/2,-z+1/2'
'-x+1/2,y+1/2,z+1/2'
'-x,y+1/2,-z'
'x,-y+1/2,z'
loop_
_atom_site_label
_atom_site_fract_x
_atom_site_fract_y
_atom_site_fract_z
_atom_site_occupancy
Na1 0.0039 0.2500 0.2211 1
Na2 0.1836 0.2500 0.2505 1
Ga1 0.1184 0.7500 0.4525 1
Ga2 0.1226 0.2500 0.8970 1
Ga3 0.2072 0.7500 0.5716 1
Sb1 0.0720 0.2500 0.5872 1
Sb2 0.0931 0.7500 0.0905 1
Sb3 0.2200 0.2500 0.7952 1
```

## Properties
ΔH_f (0 K) (eV/atom): -0.34
Crystal system: orthorhombic
VASP energy (eV/atom): -3.281

***

Density functional theory data (PBE) for an optimized crystal structure of K8Rb2Hg15Ge10S40.

```
data_K8Rb2Hg15Ge10S40
_cell_length_a 6.5491
_cell_length_b 9.9238
_cell_length_c 32.5867
_cell_angle_alpha 93.11
_cell_angle_beta 94.16
_cell_angle_gamma 93.90
_symmetry_space_group_name_H-M 'P 1'
_symmetry_Int_Tables_number 1
loop_
_symmetry_equiv_pos_as_xyz
'x,y,z'
loop_
_atom_site_label
_atom_site_fract_x
_atom_site_fract_y
_atom_site_fract_z
_atom_site_occupancy
K1 0.0000 0.0000 0.0000 1
K2 0.0897 0.5450 0.5149 1
K3 0.2000 0.0000 0.2000 1
K4 0.2897 0.5450 0.7149 1
K5 0.4000 0.0000 0.4000 1
K6 0.4897 0.5450 0.9149 1
K7 0.6897 0.5450 0.1149 1
K8 0.8897 0.5450 0.3150 1
Rb1 0.6002 0.9997 0.6000 1
Rb2 0.8002 0.9997 0.8000 1
Hg1 0.0421 0.7724 0.8832 1
Hg2 0.0981 0.2726 0.6192 1
Hg3 0.1109 0.2725 0.1160 1
Hg4 0.2421 0.7726 0.0832 1
Hg5 0.2982 0.2727 0.8192 1
Hg6 0.3109 0.2725 0.3160 1
Hg7 0.4421 0.7726 0.2832 1
Hg8 0.4980 0.2726 0.0192 1
Hg9 0.5108 0.2726 0.5159 1
Hg10 0.6421 0.7725 0.4831 1
Hg11 0.6980 0.2726 0.2192 1
Hg12 0.7108 0.2726 0.7159 1
Hg13 0.8422 0.7723 0.6832 1
Hg14 0.8980 0.2725 0.4192 1
Hg15 0.9109 0.2726 0.9160 1
Ge1 0.0339 0.0461 0.5020 1
Ge2 0.0731 0.4991 0.0086 1
Ge3 0.2340 0.0461 0.7020 1
Ge4 0.2731 0.4991 0.2086 1
Ge5 0.4341 0.0461 0.9021 1
Ge6 0.4731 0.4991 0.4086 1
Ge7 0.6340 0.0461 0.1020 1
Ge8 0.6731 0.4992 0.6086 1
Ge9 0.8340 0.0461 0.3020 1
Ge10 0.8731 0.4992 0.8086 1
S1 0.0174 0.5146 0.6204 1
S2 0.1083 0.0307 0.6357 1
S3 0.1215 0.8524 0.7312 1
S4 0.1353 0.3154 0.2331 1
S5 0.1437 0.2298 0.7345 1
S6 0.1550 0.6923 0.2371 1
S7 0.1762 0.5118 0.1408 1
S8 0.1785 0.0332 0.3079 1
S9 0.2174 0.5146 0.8204 1
S10 0.3085 0.0307 0.8358 1
S11 0.3206 0.8528 0.9314 1
S12 0.3353 0.3154 0.4331 1
S13 0.3436 0.2297 0.9345 1
S14 0.3550 0.6923 0.4371 1
S15 0.3762 0.5118 0.3408 1
S16 0.3774 0.0335 0.5074 1
S17 0.4174 0.5146 0.0204 1
S18 0.5084 0.0305 0.0356 1
S19 0.5205 0.8528 0.1314 1
S20 0.5350 0.3164 0.6333 1
S21 0.5436 0.2297 0.1345 1
S22 0.5549 0.6912 0.6373 1
S23 0.5762 0.5118 0.5409 1
S24 0.5774 0.0336 0.7077 1
S25 0.6174 0.5146 0.2204 1
S26 0.7084 0.0305 0.2356 1
S27 0.7205 0.8528 0.3314 1
S28 0.7349 0.3164 0.8333 1
S29 0.7436 0.2297 0.3345 1
S30 0.7549 0.6912 0.8373 1
S31 0.7762 0.5119 0.7409 1
S32 0.7785 0.0333 0.9081 1
S33 0.8174 0.5146 0.4204 1
S34 0.9082 0.0305 0.4355 1
S35 0.9215 0.8524 0.5312 1
S36 0.9353 0.3154 0.0331 1
S37 0.9437 0.2298 0.5345 1
S38 0.9550 0.6923 0.0371 1
S39 0.9762 0.5118 0.9408 1
S40 0.9785 0.0332 0.1079 1
```

## Properties
ΔH_f (0 K) (eV/atom): -0.79
Crystal system: triclinic
VASP energy (eV/atom): -3.554

***

Density functional theory data (PBE) for an optimized crystal structure of Mg2Si.

```
data_Mg2Si
_cell_length_a 5.3028
_cell_length_b 6.1473
_cell_length_c 7.6350
_cell_angle_alpha 100.30
_cell_angle_beta 97.50
_cell_angle_gamma 105.92
_symmetry_space_group_name_H-M 'P 1'
_symmetry_Int_Tables_number 1
loop_
_symmetry_equiv_pos_as_xyz
'x,y,z'
loop_
_atom_site_label
_atom_site_fract_x
_atom_site_fract_y
_atom_site_fract_z
_atom_site_occupancy
Mg1 0.0000 0.0000 0.0000 1
Mg2 0.0009 0.5002 0.9999 1
Mg3 0.0123 0.1720 0.6665 1
Mg4 0.4858 0.7422 0.4975 1
Mg5 0.4997 0.6073 0.8424 1
Mg6 0.5015 0.3918 0.1565 1
Mg7 0.5148 0.2571 0.5015 1
Mg8 0.9879 0.8277 0.3331 1
Si1 0.0040 0.3363 0.3431 1
Si2 0.4800 0.0695 0.8217 1
Si3 0.5190 0.9285 0.1771 1
Si4 0.9970 0.6642 0.6569 1
```

## Properties
ΔH_f (0 K) (eV/atom): 0.13
Crystal system: triclinic
VASP energy (eV/atom): -2.772